P.
DFT (PBE-GGA) results for a geometry-optimized Nb3Si structure.

Cell and atoms, written as POSCAR:
```
Nb3Si
1.0
4.084 0.000 0.000
0.000 4.084 0.000
0.000 0.000 4.084
Nb Si
3 1
direct
0.000 0.500 0.500
0.500 0.500 0.000
0.500 0.000 0.500
0.000 0.000 0.000
```

Summary:
SG: Pm-3m

=====

Q.
DFT (PBE-GGA) results for a geometry-optimized Nb3Si structure.

Cell and atoms, written as POSCAR:
```
Nb3Si
1.0
0.427 2.667 -1.076
-1.369 0.313 2.546
7.541 0.407 4.003
Nb Si
3 1
direct
0.500 0.500 0.773
0.000 0.000 0.500
0.500 0.500 0.227
0.000 0.000 0.000
```

Summary:
SG: Cmmm

=====

Quick ranking, most stable first: P, Q.

=====

P.
DFT (PBE-GGA) results for a geometry-optimized Nb12TlTe16 structure.

Cell and atoms, written as POSCAR:
```
Nb12TlTe16
1.0
5.415 -9.379 0.000
5.415 9.379 0.000
0.000 0.000 14.652
Nb Tl Te
24 2 32
direct
0.101 0.491 0.751
0.102 0.491 0.000
0.101 0.491 0.249
0.101 0.492 0.500
0.390 0.899 0.751
0.389 0.898 0.000
0.391 0.899 0.500
0.390 0.899 0.249
0.509 0.610 0.751
0.509 0.611 0.000
0.509 0.610 0.249
0.508 0.609 0.500
0.487 0.385 0.876
0.487 0.385 0.124
0.486 0.384 0.375
0.486 0.384 0.625
0.615 0.102 0.124
0.615 0.102 0.876
0.616 0.101 0.375
0.616 0.101 0.625
0.898 0.513 0.876
0.898 0.513 0.124
0.899 0.514 0.375
0.899 0.514 0.625
0.000 0.000 0.366
0.000 0.000 0.634
0.066 0.730 0.751
0.067 0.729 0.000
0.066 0.730 0.249
0.066 0.733 0.500
0.333 0.667 0.875
0.333 0.667 0.125
0.333 0.667 0.375
0.333 0.667 0.625
0.270 0.336 0.751
0.271 0.337 0.000
0.270 0.336 0.249
0.267 0.333 0.500
0.664 0.934 0.751
0.663 0.933 0.000
0.664 0.934 0.249
0.667 0.934 0.500
0.341 0.066 0.875
0.341 0.066 0.125
0.342 0.066 0.375
0.342 0.066 0.625
0.725 0.659 0.125
0.725 0.659 0.875
0.723 0.658 0.375
0.723 0.658 0.625
0.667 0.333 0.749
0.667 0.333 0.000
0.667 0.333 0.500
0.667 0.333 0.251
0.934 0.275 0.875
0.934 0.277 0.375
0.934 0.277 0.625
0.934 0.275 0.125
```

Summary:
SG: P-6

=====

Q.
DFT (PBE-GGA) results for a geometry-optimized Nb12TlTe16 structure.

Cell and atoms, written as POSCAR:
```
Nb12TlTe16
1.0
3.668 10.862 0.000
-3.668 10.862 0.000
0.000 5.433 9.414
Nb Tl Te
12 1 16
direct
0.119 0.119 0.898
0.620 0.620 0.899
0.324 0.324 0.613
0.824 0.824 0.612
0.181 0.181 0.490
0.682 0.682 0.488
0.879 0.381 0.102
0.381 0.879 0.102
0.676 0.176 0.389
0.176 0.676 0.389
0.820 0.318 0.510
0.318 0.820 0.510
0.375 0.375 0.000
0.542 0.542 0.333
0.042 0.042 0.333
0.458 0.958 0.667
0.958 0.458 0.667
0.739 0.739 0.936
0.238 0.238 0.935
0.843 0.843 0.338
0.343 0.343 0.339
0.545 0.545 0.725
0.044 0.044 0.728
0.261 0.761 0.064
0.761 0.261 0.064
0.157 0.658 0.663
0.658 0.157 0.663
0.457 0.956 0.272
0.956 0.457 0.272
```

Summary:
SG: Cm

=====

Quick ranking, most stable first: Q, P.

=====

P.
DFT (PBE-GGA) results for a geometry-optimized Nd structure.

Cell and atoms, written as POSCAR:
```
Nd
1.0
-5.590 -2.642 -6.816
-4.531 -5.909 -5.407
-7.325 -4.032 -3.843
Nd
3
direct
0.000 0.000 0.000
0.777 0.777 0.777
0.223 0.223 0.223
```

Summary:
SG: R-3m

=====

Q.
DFT (PBE-GGA) results for a geometry-optimized Nd structure.

Cell and atoms, written as POSCAR:
```
Nd
1.0
-2.067 2.067 2.067
2.067 -2.067 2.067
2.067 2.067 -2.067
Nd
1
direct
0.000 0.000 0.000
```

Summary:
SG: Im-3m

=====

Quick ranking, most stable first: P, Q.

=====

P.
DFT (PBE-GGA) results for a geometry-optimized Nd3TaO7 structure.

Cell and atoms, written as POSCAR:
```
Nd3TaO7
1.0
4.164 5.142 -0.931
-5.230 0.570 -4.119
-3.803 4.056 5.390
Nd Ta O
6 2 14
direct
0.500 0.500 0.500
0.500 0.500 0.000
0.999 0.535 0.250
0.001 0.465 0.750
0.535 0.999 0.750
0.465 0.001 0.250
0.000 0.000 0.500
0.000 0.000 0.000
0.943 0.057 0.750
0.057 0.943 0.250
0.365 0.635 0.250
0.635 0.365 0.750
0.371 0.629 0.750
0.629 0.371 0.250
0.314 0.069 0.971
0.686 0.931 0.471
0.314 0.069 0.529
0.686 0.931 0.029
0.069 0.314 0.471
0.931 0.686 0.971
0.931 0.686 0.529
0.069 0.314 0.029
```

Summary:
SG: Cmcm

=====

Q.
DFT (PBE-GGA) results for a geometry-optimized Nd3TaO7 structure.

Cell and atoms, written as POSCAR:
```
Nd3TaO7
1.0
3.788 -5.504 0.000
3.788 5.504 0.000
0.000 0.000 7.730
Nd Ta O
6 2 14
direct
0.000 0.000 0.500
0.000 0.000 0.000
0.521 0.065 0.250
0.935 0.479 0.750
0.479 0.935 0.750
0.065 0.521 0.250
0.500 0.500 0.500
0.500 0.500 0.000
0.433 0.433 0.250
0.567 0.567 0.750
0.439 0.186 0.533
0.814 0.561 0.467
0.439 0.186 0.967
0.814 0.561 0.033
0.561 0.814 0.467
0.186 0.439 0.533
0.561 0.814 0.033
0.186 0.439 0.967
0.153 0.891 0.250
0.109 0.847 0.750
0.847 0.109 0.750
0.891 0.153 0.250
```

Summary:
SG: Cmcm

=====

Quick ranking, most stable first: P, Q.

=====

P.
DFT (PBE-GGA) results for a geometry-optimized NdZr9O20 structure.

Cell and atoms, written as POSCAR:
```
NdZr9O20
1.0
-1.933 -3.823 -4.700
7.334 0.269 -0.389
-1.321 -5.201 6.232
Nd Zr O
1 9 20
direct
0.000 0.500 0.000
0.799 0.600 0.599
0.600 0.199 0.201
0.799 0.099 0.598
0.400 0.801 0.799
0.600 0.701 0.200
0.201 0.400 0.401
0.400 0.299 0.800
0.000 0.000 0.000
0.201 0.901 0.402
0.646 0.926 0.048
0.446 0.525 0.647
0.630 0.419 0.055
0.733 0.366 0.735
0.258 0.126 0.250
0.446 0.022 0.649
0.554 0.978 0.351
0.050 0.738 0.841
0.742 0.874 0.750
0.370 0.581 0.945
0.854 0.327 0.452
0.267 0.634 0.265
0.554 0.475 0.353
0.150 0.175 0.546
0.053 0.208 0.840
0.947 0.792 0.160
0.850 0.825 0.454
0.354 0.074 0.952
0.146 0.673 0.548
0.950 0.262 0.159
```

Summary:
SG: P-1

=====

Q.
DFT (PBE-GGA) results for a geometry-optimized NdZr9O20 structure.

Cell and atoms, written as POSCAR:
```
NdZr9O20
1.0
6.517 0.000 0.000
2.327 7.089 0.000
2.079 1.220 7.864
Nd Zr O
1 9 20
direct
0.398 0.349 0.700
0.192 0.551 0.103
0.203 0.045 0.099
0.596 0.147 0.299
0.604 0.650 0.299
0.003 0.758 0.495
0.998 0.255 0.496
0.397 0.851 0.706
0.805 0.949 0.899
0.798 0.452 0.898
0.586 0.472 0.140
0.879 0.673 0.036
0.003 0.062 0.340
0.283 0.277 0.240
0.810 0.127 0.066
0.511 0.929 0.174
0.385 0.679 0.535
0.690 0.874 0.440
0.220 0.727 0.255
0.921 0.531 0.350
0.789 0.263 0.744
0.054 0.480 0.631
0.647 0.323 0.442
0.315 0.123 0.558
0.165 0.882 0.938
0.483 0.043 0.855
0.017 0.925 0.663
0.720 0.728 0.757
0.421 0.548 0.874
0.109 0.327 0.967
```

Summary:
SG: P1

=====

Quick ranking, most stable first: Q, P.

=====

P.
DFT (PBE-GGA) results for a geometry-optimized Nd3Pa structure.

Cell and atoms, written as POSCAR:
```
Nd3Pa
1.0
-4.828 2.615 4.547
2.893 -6.410 1.169
4.285 2.501 3.112
Nd Pa
6 2
direct
0.830 0.170 0.750
0.339 0.170 0.750
0.830 0.661 0.750
0.170 0.830 0.250
0.661 0.830 0.250
0.170 0.339 0.250
0.667 0.333 0.250
0.333 0.667 0.750
```

Summary:
SG: P6_3/mmc

=====

Q.
DFT (PBE-GGA) results for a geometry-optimized Nd3Pa structure.

Cell and atoms, written as POSCAR:
```
Nd3Pa
1.0
-2.500 2.500 5.091
2.500 -2.500 5.091
2.500 2.500 -5.091
Nd Pa
3 1
direct
0.750 0.250 0.500
0.250 0.750 0.500
0.500 0.500 0.000
0.000 0.000 0.000
```

Summary:
SG: I4/mmm

=====

Quick ranking, most stable first: Q, P.